Record 1
Compound: CeCu9Sn4
Source: Materials Project
Functional: PBE
Structure: optimized geometry

a = 9.1159 Å, b = 9.1159 Å, c = 8.7221 Å
α = 121.51°, β = 121.51°, γ = 90.00°
Last column: nearest neighbours and their distance in Å.
Fractional positions:
Ce1 0.2500 0.2500 0.5000  8 Sn 3.57, 16 Cu 3.57-3.81
Ce2 0.7500 0.7500 0.5000  8 Sn 3.57, 16 Cu 3.57-3.81
Cu1 0.3267 0.8267 0.2740  2 Cu 2.40-2.67
Cu2 0.6733 0.1733 0.7260  2 Cu 2.40-2.67
Cu3 0.9474 0.4474 0.2740  2 Cu 2.40-2.67
Cu4 0.4474 0.3267 0.2740  2 Cu 2.40-2.67
Cu5 0.1733 0.0526 0.7260  2 Cu 2.40-2.67
Cu6 0.0526 0.5526 0.7260  2 Cu 2.40-2.67
Cu7 0.5526 0.6733 0.7260  2 Cu 2.40-2.67
Cu8 0.8267 0.9474 0.2740  2 Cu 2.40-2.67
Cu9 0.0000 0.5000 0.0000  4 Cu 2.52, 4 Sn 2.61
Cu10 0.5000 0.0000 0.0000  4 Cu 2.52, 4 Sn 2.61
Cu11 0.7863 0.2863 0.3596  5 Cu 2.40-2.67
Cu12 0.2137 0.7137 0.6404  5 Cu 2.40-2.67
Cu13 0.5732 0.0732 0.3596  5 Cu 2.40-2.67
Cu14 0.0732 0.7863 0.3596  5 Cu 2.40-2.67
Cu15 0.7137 0.4268 0.6404  5 Cu 2.40-2.67
Cu16 0.4268 0.9268 0.6404  5 Cu 2.40-2.67
Cu17 0.9268 0.2137 0.6404  5 Cu 2.40-2.67
Cu18 0.2863 0.5732 0.3596  5 Cu 2.40-2.67
Sn1 0.0459 0.2173 0.0000  7 Cu 2.61-2.91, 2 Sn 2.86
Sn2 0.9541 0.7827 0.0000  7 Cu 2.61-2.91, 2 Sn 2.86
Sn3 0.7827 0.0459 0.0000  7 Cu 2.61-2.91, 2 Sn 2.86
Sn4 0.4541 0.7173 0.0000  7 Cu 2.61-2.91, 2 Sn 2.86
Sn5 0.2173 0.9541 0.0000  7 Cu 2.61-2.91, 2 Sn 2.86
Sn6 0.5459 0.2827 0.0000  7 Cu 2.61-2.91, 2 Sn 2.86
Sn7 0.7173 0.5459 0.0000  7 Cu 2.61-2.91, 2 Sn 2.86
Sn8 0.2827 0.4541 0.0000  7 Cu 2.61-2.91, 2 Sn 2.86

***

Record 2
Compound: Cs2KBiBr6
Source: Materials Project
Functional: PBE
Structure: optimized geometry

a = 8.5440 Å, b = 8.5440 Å, c = 8.5440 Å
α = 60.00°, β = 60.00°, γ = 60.00°
Last column: nearest neighbours and their distance in Å.
Fractional positions:
Cs1 0.7500 0.7500 0.7500  12 Br 4.27
Cs2 0.2500 0.2500 0.2500  12 Br 4.27
K1 0.5000 0.5000 0.5000  6 Br 3.17
Bi1 0.0000 0.0000 0.0000  6 Br 2.87
Br1 0.7625 0.2375 0.2375  1 Bi 2.87, 1 K 3.17
Br2 0.2375 0.2375 0.7625  1 Bi 2.87, 1 K 3.17
Br3 0.2375 0.7625 0.7625  1 Bi 2.87, 1 K 3.17
Br4 0.2375 0.7625 0.2375  1 Bi 2.87, 1 K 3.17
Br5 0.7625 0.2375 0.7625  1 Bi 2.87, 1 K 3.17
Br6 0.7625 0.7625 0.2375  1 Bi 2.87, 1 K 3.17

***

Number 1: ΔE_f 0.03 eV/atom, total energy -0.3067 Ry/atom, total magnetization 2.2 μB/cell. Number 2: ΔE_f -1.72 eV/atom, total energy -0.2250 Ry/atom, total magnetization 0.0 μB/cell.